[1]
The following is a DFT calculation (r2SCAN) of crystalline Hf10CuSn7 at its relaxed geometry.

abc: 8.6203 8.6203 5.8340
angles: 90.00 90.00 120.00
Space group P-31m (No. 162)
Asymmetric unit:
Hf: 0.0000 0.2715 0.2358 [6 per cell]
Hf: 0.3333 0.6667 0.0000 [2 per cell]
Hf: 0.3333 0.6667 0.5000 [2 per cell]
Cu: 0.0000 0.0000 0.0000 [1 per cell]
Sn: 0.0000 0.0000 0.5000 [1 per cell]
Sn: 0.0000 0.3873 0.7448 [6 per cell]

Magnetic moment   0.0 μB per cell
ΔE_f   -0.4396 eV per atom
Total DFT energy (no corrections)   -643.50 eV/f.u.

---

[2]
The following is a DFT calculation (r2SCAN) of crystalline V2H at its relaxed geometry.

abc: 5.8510 5.8510 6.6724
angles: 90.00 90.00 90.00
Space group I4_1/amd (No. 141, origin choice 2)
Asymmetric unit:
V: 0.0000 0.0020 0.2315 [16 per cell]
H: 0.0000 0.0000 0.5000 [8 per cell]

Magnetic moment   0.0 μB per cell
ΔE_f   -0.1706 eV per atom
Total DFT energy (no corrections)   -32.15 eV/f.u.

---

[3]
The following is a DFT calculation (r2SCAN) of crystalline CaHo2Te4 at its relaxed geometry.

abc: 7.5075 4.3920 7.7014
angles: 90.00 108.07 90.00
Space group P2/m (No. 10)
Asymmetric unit:
Ca: 0.0000 0.0000 0.0000 [1 per cell]
Ho: 0.0000 0.5000 0.5000 [1 per cell]
Ho: 0.5000 0.0000 0.5000 [1 per cell]
Te: 0.2457 0.0000 0.7366 [2 per cell]
Te: 0.2605 0.5000 0.2562 [2 per cell]

Magnetic moment   0.0 μB per cell
ΔE_f   -1.7263 eV per atom
Total DFT energy (no corrections)   -186.55 eV/f.u.

---

[4]
The following is a DFT calculation (r2SCAN) of crystalline Pr5C6Br3 at its relaxed geometry.

abc: 3.9350 11.6316 14.0197
angles: 79.80 81.94 80.37
Space group P-1 (No. 2)
Asymmetric unit:
Pr: 0.0000 0.1041 0.3948 [2 per cell]
Pr: 0.0017 0.3935 0.1027 [2 per cell]
Pr: 0.3268 0.4618 0.3840 [2 per cell]
Pr: 0.3355 0.2278 0.6014 [2 per cell]
Pr: 0.3390 0.6748 0.1468 [2 per cell]
C: 0.1282 0.7098 0.5331 [2 per cell]
C: 0.1293 0.4745 0.7676 [2 per cell]
C: 0.1978 0.3883 0.7166 [2 per cell]
C: 0.1979 0.6206 0.4842 [2 per cell]
C: 0.4643 0.0480 0.5218 [2 per cell]
C: 0.4651 0.5352 0.0348 [2 per cell]
Br: 0.1668 0.1780 0.9873 [2 per cell]
Br: 0.1714 0.9103 0.2490 [2 per cell]
Br: 0.4840 0.7692 0.7623 [2 per cell]

Magnetic moment   0.0 μB per cell
ΔE_f   -0.9514 eV per atom
Total DFT energy (no corrections)   -259.80 eV/f.u.

---

- magnetic moment of number 4 (Pr5C6Br3)?
  0.0 μB per cell